No. 1
First-principles (PBE-GGA) data for crystalline K4LiH3S4O16 at its relaxed geometry, as listed in the Materials Project database.

- Total energy after the MP2020 corrections: -0.221 Ha/atom
- Size of the total moment: 0.000 μB per atom
- Crystal system: tetragonal
- Space-group type: P4_1 (76)
- Raw total energy: -5.634 eV per atom
- Excess energy over the best structure of this formula in the dataset: 0.77 eV/f.u.
- Calculated volume: 1741 Å³ per cell
- DFT formation energy: -2.02 eV per atom

Cell lengths 7.4583, 7.4583, 31.2949 Å; angles 90.00, 90.00, 90.00 degrees
Sites, in units of the cell vectors:
K (0.0006, 0.3022, 0.0000)
K (0.0065, 0.4858, 0.2357)
K (0.0975, 0.8890, 0.3558)
K (0.1110, 0.0975, 0.6058)
K (0.3022, 0.9994, 0.7500)
K (0.3905, 0.4252, 0.8460)
K (0.4252, 0.6095, 0.5960)
K (0.4858, 0.9935, 0.9857)
K (0.5142, 0.0065, 0.4857)
K (0.5748, 0.3905, 0.0960)
K (0.6095, 0.5748, 0.3460)
K (0.6978, 0.0006, 0.2500)
K (0.8890, 0.9025, 0.1058)
K (0.9025, 0.1110, 0.8558)
K (0.9935, 0.5142, 0.7357)
K (0.9994, 0.6978, 0.5000)
Li (0.2331, 0.6517, 0.0454)
Li (0.3483, 0.2331, 0.2954)
Li (0.6517, 0.7669, 0.7954)
Li (0.7669, 0.3483, 0.5454)
H (0.2019, 0.2229, 0.1498)
H (0.2229, 0.7981, 0.8998)
H (0.2586, 0.2862, 0.4549)
H (0.2760, 0.4714, 0.4056)
H (0.2862, 0.7414, 0.2049)
H (0.4714, 0.7240, 0.1556)
H (0.5286, 0.2760, 0.6556)
H (0.7138, 0.2586, 0.7049)
H (0.7240, 0.5286, 0.9056)
H (0.7414, 0.7138, 0.9549)
H (0.7771, 0.2019, 0.3998)
H (0.7981, 0.7771, 0.6498)
S (0.0401, 0.4004, 0.1107)
S (0.0427, 0.1521, 0.4924)
S (0.0567, 0.4100, 0.3566)
S (0.1521, 0.9573, 0.2424)
S (0.4004, 0.9599, 0.8607)
S (0.4100, 0.9433, 0.1066)
S (0.4735, 0.4949, 0.7311)
S (0.4949, 0.5265, 0.4811)
S (0.5051, 0.4735, 0.9811)
S (0.5265, 0.5051, 0.2311)
S (0.5900, 0.0567, 0.6066)
S (0.5996, 0.0401, 0.3607)
S (0.8479, 0.0427, 0.7424)
S (0.9433, 0.5900, 0.8566)
S (0.9573, 0.8479, 0.9924)
S (0.9599, 0.5996, 0.6107)
O (0.0094, 0.6724, 0.0105)
O (0.0139, 0.4596, 0.8261)
O (0.0475, 0.1100, 0.2268)
O (0.0493, 0.8433, 0.2718)
O (0.0656, 0.4445, 0.6237)
O (0.0697, 0.7418, 0.5913)
O (0.0750, 0.6403, 0.8891)
O (0.1100, 0.9525, 0.9768)
O (0.1170, 0.3267, 0.1543)
O (0.1425, 0.2544, 0.3360)
O (0.1567, 0.0493, 0.5218)
O (0.1605, 0.1871, 0.4513)
O (0.1871, 0.8395, 0.2013)
O (0.1961, 0.4430, 0.0832)
O (0.2124, 0.5247, 0.3795)
O (0.2544, 0.8575, 0.0860)
O (0.2582, 0.0697, 0.8412)
O (0.3267, 0.8830, 0.9044)
O (0.3276, 0.0094, 0.2605)
O (0.3451, 0.3636, 0.7495)
O (0.3492, 0.3780, 0.9631)
O (0.3597, 0.0750, 0.1391)
O (0.3636, 0.6549, 0.4995)
O (0.3780, 0.6508, 0.7131)
O (0.3933, 0.4508, 0.2644)
O (0.4024, 0.4192, 0.4454)
O (0.4192, 0.5976, 0.1954)
O (0.4430, 0.8039, 0.8332)
O (0.4445, 0.9344, 0.3737)
O (0.4508, 0.6067, 0.0144)
O (0.4596, 0.9861, 0.5761)
O (0.4753, 0.2124, 0.6295)
O (0.5247, 0.7876, 0.1295)
O (0.5404, 0.0139, 0.0761)
O (0.5492, 0.3933, 0.5144)
O (0.5555, 0.0656, 0.8737)
O (0.5570, 0.1961, 0.3332)
O (0.5808, 0.4024, 0.6954)
O (0.5976, 0.5808, 0.9454)
O (0.6067, 0.5492, 0.7644)
O (0.6220, 0.3492, 0.2131)
O (0.6364, 0.3451, 0.9995)
O (0.6403, 0.9250, 0.6391)
O (0.6508, 0.6220, 0.4631)
O (0.6549, 0.6364, 0.2495)
O (0.6724, 0.9906, 0.7605)
O (0.6733, 0.1170, 0.4044)
O (0.7418, 0.9303, 0.3412)
O (0.7456, 0.1425, 0.5860)
O (0.7876, 0.4753, 0.8795)
O (0.8039, 0.5570, 0.5832)
O (0.8129, 0.1605, 0.7013)
O (0.8395, 0.8129, 0.9513)
O (0.8433, 0.9507, 0.0218)
O (0.8575, 0.7456, 0.8360)
O (0.8830, 0.6733, 0.6544)
O (0.8900, 0.0475, 0.4768)
O (0.9250, 0.3597, 0.3891)
O (0.9303, 0.2582, 0.0912)
O (0.9344, 0.5555, 0.1237)
O (0.9507, 0.1567, 0.7718)
O (0.9525, 0.8900, 0.7268)
O (0.9861, 0.5404, 0.3261)
O (0.9906, 0.3276, 0.5105)

---

No. 2
First-principles (PBE-GGA) data for crystalline K4LiH3S4O16 at its relaxed geometry, as listed in the Materials Project database.

- Total energy after the MP2020 corrections: -0.222 Ha/atom
- Size of the total moment: 0.000 μB per atom
- Crystal system: tetragonal
- Space-group type: P4_1 (76)
- Raw total energy: -5.661 eV per atom
- Excess energy over the best structure of this formula in the dataset: 0.00 eV/f.u.
- Calculated volume: 1639 Å³ per cell
- DFT formation energy: -2.05 eV per atom

Cell lengths 7.5084, 7.5084, 29.0677 Å; angles 90.00, 90.00, 90.00 degrees
Sites, in units of the cell vectors:
K (0.0066, 0.2871, 0.0096)
K (0.0096, 0.5141, 0.2500)
K (0.0999, 0.1257, 0.3739)
K (0.1257, 0.9001, 0.1239)
K (0.2871, 0.9934, 0.7596)
K (0.4031, 0.5798, 0.8601)
K (0.4202, 0.4031, 0.1101)
K (0.4859, 0.0096, 0.5000)
K (0.5141, 0.9904, 0.0000)
K (0.5798, 0.5969, 0.6101)
K (0.5969, 0.4202, 0.3601)
K (0.7129, 0.0066, 0.2596)
K (0.8743, 0.0999, 0.6239)
K (0.9001, 0.8743, 0.8739)
K (0.9904, 0.4859, 0.7500)
K (0.9934, 0.7129, 0.5096)
Li (0.2357, 0.3515, 0.5606)
Li (0.3515, 0.7643, 0.3106)
Li (0.6485, 0.2357, 0.8106)
Li (0.7643, 0.6485, 0.0606)
H (0.1942, 0.7954, 0.6672)
H (0.2046, 0.1942, 0.9172)
H (0.2223, 0.6848, 0.9560)
H (0.2846, 0.5579, 0.4325)
H (0.3152, 0.2223, 0.2060)
H (0.4421, 0.2846, 0.6825)
H (0.5579, 0.7154, 0.1825)
H (0.6848, 0.7777, 0.7060)
H (0.7154, 0.4421, 0.9325)
H (0.7777, 0.3152, 0.4560)
H (0.7954, 0.8058, 0.4172)
H (0.8058, 0.2046, 0.1672)
S (0.0240, 0.8253, 0.9980)
S (0.0438, 0.6050, 0.6259)
S (0.0713, 0.6099, 0.3772)
S (0.1747, 0.0240, 0.2480)
S (0.3901, 0.0713, 0.6272)
S (0.3950, 0.0438, 0.8759)
S (0.4807, 0.5095, 0.7430)
S (0.4905, 0.4807, 0.9930)
S (0.5095, 0.5193, 0.4930)
S (0.5193, 0.4905, 0.2430)
S (0.6050, 0.9562, 0.3759)
S (0.6099, 0.9287, 0.1272)
S (0.8253, 0.9760, 0.7480)
S (0.9287, 0.3901, 0.8772)
S (0.9562, 0.3950, 0.1259)
S (0.9760, 0.1747, 0.4980)
O (0.0215, 0.3361, 0.5244)
O (0.0282, 0.3124, 0.9164)
O (0.0302, 0.5252, 0.8518)
O (0.0568, 0.5513, 0.1403)
O (0.0658, 0.1575, 0.2719)
O (0.0688, 0.2574, 0.1048)
O (0.0716, 0.8689, 0.2332)
O (0.1086, 0.7589, 0.9510)
O (0.1203, 0.6830, 0.6727)
O (0.1311, 0.0716, 0.4832)
O (0.1360, 0.7517, 0.3463)
O (0.1575, 0.9342, 0.0219)
O (0.1997, 0.5645, 0.5968)
O (0.2352, 0.5106, 0.3979)
O (0.2411, 0.1086, 0.2010)
O (0.2483, 0.1360, 0.5963)
O (0.2574, 0.9312, 0.8548)
O (0.3124, 0.9718, 0.6664)
O (0.3170, 0.1203, 0.9227)
O (0.3361, 0.9785, 0.2744)
O (0.3432, 0.6209, 0.7648)
O (0.3450, 0.6102, 0.4732)
O (0.3791, 0.3432, 0.0148)
O (0.3853, 0.5456, 0.2779)
O (0.3898, 0.3450, 0.7232)
O (0.3972, 0.5724, 0.9543)
O (0.4276, 0.3972, 0.2043)
O (0.4355, 0.1997, 0.8468)
O (0.4487, 0.0568, 0.3903)
O (0.4544, 0.3853, 0.5279)
O (0.4748, 0.0302, 0.1018)
O (0.4894, 0.2352, 0.6479)
O (0.5106, 0.7648, 0.1479)
O (0.5252, 0.9698, 0.6018)
O (0.5456, 0.6147, 0.0279)
O (0.5513, 0.9432, 0.8903)
O (0.5645, 0.8003, 0.3468)
O (0.5724, 0.6028, 0.7043)
O (0.6028, 0.4276, 0.4543)
O (0.6102, 0.6550, 0.2232)
O (0.6147, 0.4544, 0.7779)
O (0.6209, 0.6568, 0.5148)
O (0.6550, 0.3898, 0.9732)
O (0.6568, 0.3791, 0.2648)
O (0.6639, 0.0215, 0.7744)
O (0.6830, 0.8797, 0.4227)
O (0.6876, 0.0282, 0.1664)
O (0.7426, 0.0688, 0.3548)
O (0.7517, 0.8640, 0.0963)
O (0.7589, 0.8914, 0.7010)
O (0.7648, 0.4894, 0.8979)
O (0.8003, 0.4355, 0.0968)
O (0.8425, 0.0658, 0.5219)
O (0.8640, 0.2483, 0.8463)
O (0.8689, 0.9284, 0.9832)
O (0.8797, 0.3170, 0.1727)
O (0.8914, 0.2411, 0.4510)
O (0.9284, 0.1311, 0.7332)
O (0.9312, 0.7426, 0.6048)
O (0.9342, 0.8425, 0.7719)
O (0.9432, 0.4487, 0.6403)
O (0.9698, 0.4748, 0.3518)
O (0.9718, 0.6876, 0.4164)
O (0.9785, 0.6639, 0.0244)

---

No. 3
First-principles (PBE-GGA) data for crystalline K2MgH8N4 at its relaxed geometry, as listed in the Materials Project database.

- Total energy after the MP2020 corrections: -0.177 Ha/atom
- Crystal system: monoclinic
- Space-group type: P2_1/c (14)
- Raw total energy: -4.728 eV per atom
- Calculated volume: 715 Å³ per cell
- DFT formation energy: -0.54 eV per atom

Cell lengths 7.4934, 7.2287, 13.6304 Å; angles 90.00, 104.42, 90.00 degrees
Sites, in units of the cell vectors:
K (0.0730, 0.1259, 0.3912)
K (0.0730, 0.3741, 0.8912)
K (0.4138, 0.6467, 0.1022)
K (0.4138, 0.8533, 0.6022)
K (0.5862, 0.1467, 0.3978)
K (0.5862, 0.3533, 0.8978)
K (0.9270, 0.6259, 0.1088)
K (0.9270, 0.8741, 0.6088)
Mg (0.2061, 0.2129, 0.1518)
Mg (0.2061, 0.2871, 0.6518)
Mg (0.7939, 0.7129, 0.3482)
Mg (0.7939, 0.7871, 0.8482)
H (0.0834, 0.6274, 0.4908)
H (0.0834, 0.8726, 0.9908)
H (0.1547, 0.6227, 0.7505)
H (0.1547, 0.8773, 0.2505)
H (0.1623, 0.7222, 0.4036)
H (0.1623, 0.7778, 0.9036)
H (0.1668, 0.0216, 0.7909)
H (0.1668, 0.4784, 0.2909)
H (0.3665, 0.6056, 0.7478)
H (0.3665, 0.8944, 0.2478)
H (0.3715, 0.1276, 0.0112)
H (0.3715, 0.3724, 0.5112)
H (0.3789, 0.0118, 0.7897)
H (0.3789, 0.4882, 0.2897)
H (0.4853, 0.7446, 0.4052)
H (0.4853, 0.7554, 0.9052)
H (0.5147, 0.2446, 0.0948)
H (0.5147, 0.2554, 0.5948)
H (0.6211, 0.5118, 0.7103)
H (0.6211, 0.9882, 0.2103)
H (0.6285, 0.6276, 0.4888)
H (0.6285, 0.8724, 0.9888)
H (0.6335, 0.1056, 0.7522)
H (0.6335, 0.3944, 0.2522)
H (0.8332, 0.5216, 0.7091)
H (0.8332, 0.9784, 0.2091)
H (0.8377, 0.2222, 0.0964)
H (0.8377, 0.2778, 0.5964)
H (0.8453, 0.1227, 0.7495)
H (0.8453, 0.3773, 0.2495)
H (0.9166, 0.1274, 0.0092)
H (0.9166, 0.3726, 0.5092)
N (0.0623, 0.7396, 0.4426)
N (0.0623, 0.7604, 0.9426)
N (0.2462, 0.5318, 0.7326)
N (0.2462, 0.9682, 0.2326)
N (0.2536, 0.0556, 0.7462)
N (0.2536, 0.4444, 0.2462)
N (0.3801, 0.2481, 0.0523)
N (0.3801, 0.2519, 0.5523)
N (0.6199, 0.7481, 0.4477)
N (0.6199, 0.7519, 0.9477)
N (0.7464, 0.5556, 0.7538)
N (0.7464, 0.9444, 0.2538)
N (0.7538, 0.0318, 0.7674)
N (0.7538, 0.4682, 0.2674)
N (0.9377, 0.2396, 0.0574)
N (0.9377, 0.2604, 0.5574)

---

No. 4
First-principles (PBE-GGA) data for crystalline K2MgP4H8O16 at its relaxed geometry, as listed in the Materials Project database.

- Total energy after the MP2020 corrections: -0.238 Ha/atom
- Size of the total moment: 0.000 μB per atom
- Crystal system: triclinic
- Space-group type: P-1 (2)
- Raw total energy: -6.115 eV per atom
- Calculated volume: 375 Å³ per cell
- DFT formation energy: -2.22 eV per atom

Cell lengths 6.9414, 7.4806, 7.6296 Å; angles 81.65, 73.56, 83.59 degrees
Sites, in units of the cell vectors:
K (0.1145, 0.2372, 0.2935)
K (0.8855, 0.7628, 0.7065)
Mg (0.5000, 0.0000, 0.5000)
P (0.2540, 0.3152, 0.7563)
P (0.3219, 0.7696, 0.2458)
P (0.6781, 0.2304, 0.7542)
P (0.7460, 0.6848, 0.2437)
H (0.0479, 0.7667, 0.0795)
H (0.2483, 0.5480, 0.4722)
H (0.3736, 0.8229, 0.8577)
H (0.3910, 0.6870, 0.7124)
H (0.6090, 0.3130, 0.2876)
H (0.6264, 0.1771, 0.1423)
H (0.7517, 0.4520, 0.5278)
H (0.9521, 0.2333, 0.9205)
O (0.0756, 0.2905, 0.9362)
O (0.2324, 0.5826, 0.3390)
O (0.2336, 0.8415, 0.0868)
O (0.2557, 0.5121, 0.6678)
O (0.2659, 0.1767, 0.6273)
O (0.2996, 0.8950, 0.3905)
O (0.4405, 0.2770, 0.8505)
O (0.4477, 0.7965, 0.7310)
O (0.5523, 0.2035, 0.2690)
O (0.5595, 0.7230, 0.1495)
O (0.7004, 0.1050, 0.6095)
O (0.7341, 0.8233, 0.3727)
O (0.7443, 0.4879, 0.3322)
O (0.7664, 0.1585, 0.9132)
O (0.7676, 0.4174, 0.6610)
O (0.9244, 0.7095, 0.0638)

---

Q: What is the raw total energy in the fourth record?
A: -6.115 eV per atom

---

Q: calculated volume of number 3 (K2MgH8N4)?
A: 715 Å³ per cell